--- P ---
Te2MoWS2 (PBE, optimized geometry); magnetic moment = 0.000 μB/atom
1.0
1.6803 -2.9103 0.0000
1.6803 2.9103 0.0000
0.0000 0.0000 39.8583
S Te Mo W
4 4 2 2
direct
0.0000 0.0000 0.3196
0.3333 0.6667 0.0558
0.3333 0.6667 0.1320
0.0000 0.0000 0.2437
0.3333 0.6667 0.4209
0.3333 0.6667 0.5157
0.0000 0.0000 0.7068
0.0000 0.0000 0.6114
0.0000 0.0000 0.4683
0.3333 0.6667 0.2816
0.3333 0.6667 0.6591
0.0000 0.0000 0.0939

--- Q ---
Te2MoWS2 (PBE, optimized geometry); magnetic moment = 0.000 μB/atom
1.0
-2.1651 0.6095 2.4938
1.8956 -2.7714 0.0619
16.9887 11.8844 11.8450
W S Mo Te
1 2 1 2
direct
0.3333 0.6667 0.1504
0.6667 0.3333 0.2141
0.6667 0.3333 0.0868
0.6667 0.3333 0.4514
0.3333 0.6667 0.3724
0.3333 0.6667 0.5304

Q takes first place; second place is 36 meV per atom up.